This record from Materials Project describes an optimized crystal structure of NbVCo. The functional is r²SCAN.

The value obtained for the calculated formation energy is -0.077 eV/atom.

The space group is Amm2 (No. 38) and the conventional cell measures 8.054, 4.929 and 8.324 Å, with angles of 90.00, 90.00 and 90.00 degrees. Symmetry generates all atoms from Nb at (0.184, 0.000, 0.000), Nb at (0.304, 0.000, 0.670), V at (0.000, 0.000, 0.485), V at (0.500, 0.000, 0.162), V at (0.500, 0.249, 0.918), Co at (0.000, 0.246, 0.733) and Co at (0.243, 0.000, 0.329).